<a>
# Ca3Al2O6 (PBE, relaxed)
data_Ca3Al2O6
_space_group_name_H-M_alt 'P a -3'
_space_group_IT_number 205
_space_group_name_Hall '-P 2ac 2ab 3'
_cell_length_a 15.409
_cell_length_b 15.409
_cell_length_c 15.409
_cell_angle_alpha 90.00
_cell_angle_beta 90.00
_cell_angle_gamma 90.00
loop_
_atom_site_label
_atom_site_fract_x
_atom_site_fract_y
_atom_site_fract_z
_atom_site_occupancy
Ca1 0.000 0.000 0.000 1
Ca2 0.000 0.000 0.500 1
Ca3 0.120 0.121 0.379 1
Ca4 0.120 0.125 0.859 1
Ca5 0.130 0.130 0.130 1
Ca6 0.247 0.247 0.247 1
Al1 0.005 0.744 0.769 1
Al2 0.013 0.520 0.748 1
O1 0.005 0.530 0.151 1
O2 0.011 0.716 0.377 1
O3 0.012 0.153 0.956 1
O4 0.017 0.131 0.739 1
O5 0.096 0.210 0.264 1
O6 0.104 0.736 0.217 1
# magnetic moment = 0.000 μB per formula unit



<b>
# Ca3Al2O6 (PBE, relaxed)
data_Ca3Al2O6
_space_group_name_H-M_alt 'P m -3 m'
_space_group_IT_number 221
_space_group_name_Hall '-P 4 2 3'
_cell_length_a 7.668
_cell_length_b 7.668
_cell_length_c 7.668
_cell_angle_alpha 90.00
_cell_angle_beta 90.00
_cell_angle_gamma 90.00
loop_
_atom_site_label
_atom_site_fract_x
_atom_site_fract_y
_atom_site_fract_z
_atom_site_occupancy
Ca1 0.000 0.000 0.000 1
Ca2 0.292 0.292 0.292 1
Al1 0.000 0.000 0.500 1
Al2 0.000 0.500 0.500 1
O1 0.000 0.237 0.500 1
O2 0.233 0.500 0.500 1
# magnetic moment = 0.001 μB per formula unit



In eV/atom, relative to the most stable structure: <a> 0.000; <b> 0.537.